# 1
The following is a DFT calculation (meta-GGA r2SCAN) of crystalline NpAs at its relaxed geometry.

Unit cell a=4.1496 b=4.1496 c=4.1496 alpha=60.00 beta=60.00 gamma=60.00
Fractional positions:
Np  0.5000  0.5000  0.5000
As  0.0000  0.0000  0.0000

Values from the calculation:
* energy relative to the elements: -1.32 eV/atom
* space group: Fm-3m
* density: 10.25 g cm⁻³

=====

# 2
The following is a DFT calculation (meta-GGA r2SCAN) of crystalline NpAsSe at its relaxed geometry.

Unit cell a=3.9827 b=3.9827 c=8.7303 alpha=90.00 beta=90.00 gamma=90.00
Fractional positions:
Np  0.0000  0.5000  0.7275
Np  0.5000  0.0000  0.2725
As  0.0000  0.0000  0.0000
As  0.5000  0.5000  0.0000
Se  0.5000  0.0000  0.6304
Se  0.0000  0.5000  0.3696

Values from the calculation:
* energy relative to the elements: -1.46 eV/atom
* space group: P4/nmm
* density: 9.37 g cm⁻³

=====

- Which value of density does entry 1 give?
  10.25 g cm⁻³

=====

- What is the density in the first record?
  10.25 g cm⁻³